Compound: Cs3V4Te2ClO14
Source: Materials Project
Functional: GGA+U
Structure: optimized geometry

a = 6.9409 Å, b = 24.4435 Å, c = 5.5797 Å
α = 90.00°, β = 90.00°, γ = 90.00°
Fractional positions:
1 Cs 0.0000 0.0000 0.0000
2 Cs 0.1530 0.2293 0.0000
3 Cs 0.3470 0.7293 0.5000
4 Cs 0.5000 0.5000 0.5000
5 Cs 0.6530 0.2707 0.5000
6 Cs 0.8470 0.7707 0.0000
7 V 0.0635 0.8840 0.5000
8 V 0.1306 0.3628 0.5000
9 V 0.3694 0.8628 0.0000
10 V 0.4365 0.3840 0.0000
11 V 0.5635 0.6160 0.0000
12 V 0.6306 0.1372 0.0000
13 V 0.8694 0.6372 0.5000
14 V 0.9365 0.1160 0.5000
15 Te 0.0725 0.5841 0.0000
16 Te 0.4275 0.0841 0.5000
17 Te 0.5725 0.9159 0.5000
18 Te 0.9275 0.4159 0.0000
19 Cl 0.0000 0.5000 0.5000
20 Cl 0.5000 0.0000 0.0000
21 O 0.0022 0.8189 0.5000
22 O 0.0812 0.6346 0.2562
23 O 0.0812 0.6346 0.7438
24 O 0.1494 0.0695 0.5000
25 O 0.2009 0.2982 0.5000
26 O 0.2056 0.8984 0.2484
27 O 0.2056 0.8984 0.7516
28 O 0.2944 0.3984 0.2516
29 O 0.2944 0.3984 0.7484
30 O 0.2991 0.7982 0.0000
31 O 0.3506 0.5695 0.0000
32 O 0.4188 0.1346 0.2438
33 O 0.4188 0.1346 0.7562
34 O 0.4978 0.3189 0.0000
35 O 0.5022 0.6811 0.0000
36 O 0.5812 0.8654 0.2438
37 O 0.5812 0.8654 0.7562
38 O 0.6494 0.4305 0.0000
39 O 0.7009 0.2018 0.0000
40 O 0.7056 0.6016 0.2516
41 O 0.7056 0.6016 0.7484
42 O 0.7944 0.1016 0.2484
43 O 0.7944 0.1016 0.7516
44 O 0.7991 0.7018 0.5000
45 O 0.8506 0.9305 0.5000
46 O 0.9188 0.3654 0.2562
47 O 0.9188 0.3654 0.7438
48 O 0.9978 0.1811 0.5000

* total moment: 4.00 μB per cell
* V: 473.3 Å³/f.u.
* formation energy: -2181 meV per atom
* space group: Pnnm (58)
* energy: -6.3477 eV per atom